Material: MgCu2H4Se2O10
Method: DFT, PBE-GGA
State: optimized geometry

Density: 3.5 g/cm³
E: -96.29 eV per cell
Energy of formation: -1.227 eV per atom
V: 11.795 Å³/atom

Unit cell a=5.351 b=5.910 c=7.689 alpha=101.93 beta=102.71 gamma=101.69
Space group P1 (No. 1)
Asymmetric unit:
Mg  0.000  0.000  0.000 [1 per cell]
Cu  0.484  0.531  0.073 [1 per cell]
Cu  0.897  0.039  0.581 [1 per cell]
H  0.037  0.570  0.793 [1 per cell]
H  0.834  0.510  0.362 [1 per cell]
H  0.907  0.381  0.886 [1 per cell]
H  0.987  0.701  0.275 [1 per cell]
Se  0.375  0.163  0.351 [1 per cell]
Se  0.472  0.879  0.803 [1 per cell]
O  0.075  0.446  0.856 [1 per cell]
O  0.105  0.926  0.761 [1 per cell]
O  0.226  0.884  0.208 [1 per cell]
O  0.247  0.227  0.527 [1 per cell]
O  0.274  0.317  0.191 [1 per cell]
O  0.565  0.854  0.602 [1 per cell]
O  0.671  0.716  0.938 [1 per cell]
O  0.682  0.154  0.939 [1 per cell]
O  0.708  0.219  0.411 [1 per cell]
O  0.820  0.646  0.307 [1 per cell]

***

Material: MgTl2Cu2H2Se2O10
Method: DFT, PBE-GGA
State: optimized geometry

Density: 4.3 g/cm³
E: -94.83 eV per cell
Excess energy over the best structure of this formula in the dataset: 0.0 meV/atom
Energy of formation: -1.259 eV per atom
V: 17.883 Å³/atom

Unit cell a=5.639 b=6.010 c=10.388 alpha=90.00 beta=105.20 gamma=90.00
Space group Pm (No. 6)
Asymmetric unit:
Mg  0.000  0.000  0.000 [1 per cell]
Tl  0.159  0.000  0.610 [1 per cell]
Tl  0.605  0.500  0.892 [1 per cell]
Cu  0.166  0.239  0.284 [2 per cell]
H  0.523  0.000  0.418 [1 per cell]
H  0.832  0.500  0.231 [1 per cell]
Se  0.483  0.000  0.032 [1 per cell]
Se  0.663  0.500  0.492 [1 per cell]
O  0.271  0.213  0.978 [2 per cell]
O  0.342  0.000  0.400 [1 per cell]
O  0.377  0.500  0.368 [1 per cell]
O  0.599  0.500  0.640 [1 per cell]
O  0.647  0.000  0.910 [1 per cell]
O  0.811  0.270  0.466 [2 per cell]
O  0.982  0.500  0.200 [1 per cell]
O  0.987  0.000  0.185 [1 per cell]

***

Material: MgTl2Cu2H2Se2O10
Method: DFT, PBE-GGA
State: optimized geometry

Density: 4.4 g/cm³
E: -93.75 eV per cell
Excess energy over the best structure of this formula in the dataset: 56.9 meV/atom
Energy of formation: -1.202 eV per atom
V: 17.546 Å³/atom

Unit cell a=5.604 b=5.781 c=10.385 alpha=90.00 beta=97.69 gamma=90.00
Space group Pm (No. 6)
Asymmetric unit:
Mg  0.000  0.000  0.000 [1 per cell]
Tl  0.511  0.000  0.139 [1 per cell]
Tl  0.562  0.500  0.813 [1 per cell]
Cu  0.622  0.272  0.470 [2 per cell]
H  0.306  0.000  0.381 [1 per cell]
H  0.942  0.500  0.609 [1 per cell]
Se  0.051  0.500  0.156 [1 per cell]
Se  0.068  0.000  0.677 [1 per cell]
O  0.227  0.240  0.670 [2 per cell]
O  0.261  0.500  0.055 [1 per cell]
O  0.450  0.500  0.372 [1 per cell]
O  0.481  0.000  0.380 [1 per cell]
O  0.765  0.500  0.597 [1 per cell]
O  0.830  0.000  0.551 [1 per cell]
O  0.876  0.256  0.095 [2 per cell]
O  0.933  0.000  0.815 [1 per cell]

***

Material: Na4CuP6H22N6O22
Method: DFT, PBE-GGA
State: optimized geometry

Density: 2.0 g/cm³
E: -348.19 eV per cell
Energy of formation: -1.441 eV per atom
V: 11.034 Å³/atom

Unit cell a=9.218 b=9.400 c=9.764 alpha=67.48 beta=71.74 gamma=60.70
Space group P-1 (No. 2)
Asymmetric unit:
Na  0.055  0.393  0.387 [2 per cell]
Na  0.337  0.704  0.901 [2 per cell]
Cu  0.000  0.000  0.000 [1 per cell]
P  0.075  0.086  0.238 [2 per cell]
P  0.185  0.730  0.286 [2 per cell]
P  0.440  0.847  0.259 [2 per cell]
H  0.032  0.883  0.463 [2 per cell]
H  0.233  0.058  0.709 [2 per cell]
H  0.239  0.680  0.674 [2 per cell]
H  0.276  0.418  0.083 [2 per cell]
H  0.299  0.069  0.833 [2 per cell]
H  0.320  0.080  0.068 [2 per cell]
H  0.350  0.065  0.441 [2 per cell]
H  0.382  0.177  0.504 [2 per cell]
H  0.390  0.725  0.575 [2 per cell]
H  0.399  0.327  0.963 [2 per cell]
H  0.472  0.568  0.317 [2 per cell]
N  0.063  0.904  0.347 [2 per cell]
N  0.283  0.026  0.179 [2 per cell]
N  0.381  0.692  0.292 [2 per cell]
O  0.003  0.788  0.670 [2 per cell]
O  0.007  0.515  0.053 [2 per cell]
O  0.008  0.849  0.901 [2 per cell]
O  0.142  0.584  0.391 [2 per cell]
O  0.165  0.784  0.122 [2 per cell]
O  0.252  0.004  0.814 [2 per cell]
O  0.293  0.170  0.474 [2 per cell]
O  0.358  0.651  0.673 [2 per cell]
O  0.388  0.396  0.024 [2 per cell]
O  0.401  0.179  0.857 [2 per cell]
O  0.447  0.858  0.409 [2 per cell]

***

Material: Na2CuP4H18N4O15
Method: DFT, PBE-GGA
State: optimized geometry

Density: 2.0 g/cm³
E: -997.67 eV per cell
Energy of formation: -1.425 eV per atom
V: 10.275 Å³/atom

Unit cell a=6.446 b=14.724 c=19.055 alpha=90.00 beta=90.00 gamma=90.00
Space group Pnma (No. 62)
Asymmetric unit:
Na  0.171  0.250  0.163 [4 per cell]
Na  0.204  0.250  0.752 [4 per cell]
Cu  0.000  0.250  0.472 [4 per cell]
P  0.049  0.061  0.393 [8 per cell]
P  0.225  0.081  0.538 [8 per cell]
H  0.024  0.663  0.358 [8 per cell]
H  0.045  0.697  0.124 [8 per cell]
H  0.076  0.197  0.005 [8 per cell]
H  0.079  0.587  0.306 [8 per cell]
H  0.083  0.565  0.818 [8 per cell]
H  0.093  0.067  0.238 [8 per cell]
H  0.183  0.016  0.948 [8 per cell]
H  0.213  0.022  0.129 [8 per cell]
H  0.219  0.199  0.310 [8 per cell]
N  0.169  0.501  0.595 [8 per cell]
N  0.212  0.035  0.458 [8 per cell]
O  0.007  0.662  0.606 [8 per cell]
O  0.045  0.750  0.156 [4 per cell]
O  0.047  0.652  0.308 [8 per cell]
O  0.054  0.154  0.542 [8 per cell]
O  0.054  0.610  0.053 [8 per cell]
O  0.063  0.084  0.189 [8 per cell]
O  0.133  0.250  0.030 [4 per cell]
O  0.152  0.033  0.324 [8 per cell]
O  0.211  0.750  0.788 [4 per cell]

***

Material: CuPH6NO5
Method: DFT, PBE-GGA
State: optimized geometry

Density: 2.6 g/cm³
E: -314.32 eV per cell
Excess energy over the best structure of this formula in the dataset: 0.0 meV/atom
Energy of formation: -1.362 eV per atom
V: 8.776 Å³/atom

Unit cell a=8.695 b=7.619 c=7.445 alpha=90.00 beta=94.81 gamma=90.00
Space group P2_1/c (No. 14)
Asymmetric unit:
Cu  0.037  0.196  0.070 [4 per cell]
P  0.190  0.550  0.174 [4 per cell]
H  0.205  0.554  0.647 [4 per cell]
H  0.206  0.067  0.321 [4 per cell]
H  0.382  0.213  0.523 [4 per cell]
H  0.432  0.124  0.888 [4 per cell]
H  0.450  0.675  0.424 [4 per cell]
H  0.465  0.684  0.106 [4 per cell]
N  0.475  0.227  0.971 [4 per cell]
O  0.086  0.509  0.328 [4 per cell]
O  0.149  0.729  0.081 [4 per cell]
O  0.168  0.101  0.530 [4 per cell]
O  0.225  0.069  0.189 [4 per cell]
O  0.363  0.554  0.244 [4 per cell]

***

Material: CuPH6NO5
Method: DFT, PBE-GGA
State: optimized geometry

Density: 2.6 g/cm³
E: -156.43 eV per cell
Excess energy over the best structure of this formula in the dataset: 26.1 meV/atom
Energy of formation: -1.336 eV per atom
V: 8.751 Å³/atom

Unit cell a=5.761 b=8.785 c=4.842 alpha=90.00 beta=90.00 gamma=90.00
Space group Pmn2_1 (No. 31)
Asymmetric unit:
Cu  0.000  0.022  0.000 [2 per cell]
P  0.000  0.812  0.443 [2 per cell]
H  0.000  0.543  0.701 [2 per cell]
H  0.000  0.545  0.058 [2 per cell]
H  0.137  0.186  0.404 [4 per cell]
H  0.147  0.408  0.885 [4 per cell]
N  0.000  0.476  0.882 [2 per cell]
O  0.000  0.204  0.287 [2 per cell]
O  0.000  0.637  0.390 [2 per cell]
O  0.000  0.836  0.759 [2 per cell]
O  0.215  0.888  0.299 [4 per cell]